--- 1 ---
Cr8O21 after structural relaxation, computed with PBE+U.

Summary:
- Crystal system: triclinic

a = 5.428 Å, b = 6.593 Å, c = 12.691 Å
α = 79.64°, β = 89.50°, γ = 82.64°
Space group P-1 (No. 2)
Inequivalent atoms, fractional coordinates:
Cr (0.134, 0.126, 0.245) x2
Cr (0.166, 0.248, 0.905) x2
Cr (0.231, 0.302, 0.471) x2
Cr (0.363, 0.705, 0.930) x2
O (0.000, 0.500, 0.500) x1
O (0.051, 0.262, 0.767) x2
O (0.091, 0.672, 0.032) x2
O (0.126, 0.152, 0.383) x2
O (0.140, 0.739, 0.807) x2
O (0.148, 0.859, 0.226) x2
O (0.303, 0.003, 0.933) x2
O (0.322, 0.146, 0.579) x2
O (0.360, 0.238, 0.175) x2
O (0.402, 0.396, 0.937) x2
O (0.463, 0.401, 0.416) x2



--- 2 ---
Cr8O21 after structural relaxation, computed with PBE+U.

Summary:
- Crystal system: triclinic

a = 5.523 Å, b = 6.686 Å, c = 12.258 Å
α = 74.93°, β = 89.64°, γ = 78.12°
Space group P-1 (No. 2)
Inequivalent atoms, fractional coordinates:
Cr (0.152, 0.356, 0.432) x2
Cr (0.270, 0.236, 0.973) x2
Cr (0.293, 0.835, 0.395) x2
Cr (0.348, 0.627, 0.754) x2
O (0.038, 0.212, 0.906) x2
O (0.088, 0.660, 0.443) x2
O (0.131, 0.568, 0.682) x2
O (0.182, 0.283, 0.090) x2
O (0.198, 0.054, 0.437) x2
O (0.270, 0.869, 0.756) x2
O (0.304, 0.885, 0.261) x2
O (0.382, 0.457, 0.894) x2
O (0.385, 0.411, 0.310) x2
O (0.425, 0.287, 0.548) x2
O (0.500, 0.000, 0.000) x1



--- 3 ---
Cr8O21 after structural relaxation, computed with PBE+U.

Summary:
- Crystal system: triclinic

a = 5.458 Å, b = 6.748 Å, c = 12.889 Å
α = 74.97°, β = 87.48°, γ = 77.08°
Space group P-1 (No. 2)
Inequivalent atoms, fractional coordinates:
Cr (0.141, 0.286, 0.426) x2
Cr (0.265, 0.706, 0.972) x2
Cr (0.300, 0.734, 0.404) x2
Cr (0.347, 0.862, 0.751) x2
O (0.023, 0.619, 0.922) x2
O (0.091, 0.602, 0.445) x2
O (0.153, 0.724, 0.674) x2
O (0.168, 0.989, 0.423) x2
O (0.189, 0.882, 0.081) x2
O (0.239, 0.105, 0.759) x2
O (0.366, 0.631, 0.280) x2
O (0.369, 0.210, 0.303) x2
O (0.375, 0.821, 0.882) x2
O (0.437, 0.296, 0.523) x2
O (0.500, 0.500, 0.000) x1



Quick one: least stable of them? 3



--- 1 ---
CrP4O12 after structural relaxation, computed with PBE+U.

Summary:
- Crystal system: monoclinic

a = 9.719 Å, b = 13.559 Å, c = 7.698 Å
α = 90.00°, β = 103.80°, γ = 90.00°
Space group C2/c (No. 15)
Inequivalent atoms, fractional coordinates:
Cr (0.000, 0.132, 0.250) x4
P (0.087, 0.338, 0.121) x8
P (0.123, 0.082, 0.670) x8
O (0.000, 0.129, 0.750) x4
O (0.000, 0.389, 0.250) x4
O (0.028, 0.357, 0.931) x8
O (0.111, 0.030, 0.168) x8
O (0.116, 0.229, 0.184) x8
O (0.125, 0.129, 0.492) x8
O (0.241, 0.390, 0.185) x8



--- 2 ---
CrP4O12 after structural relaxation, computed with PBE+U.

Summary:
- Crystal system: monoclinic

a = 5.159 Å, b = 13.568 Å, c = 7.443 Å
α = 90.00°, β = 100.53°, γ = 90.00°
Space group P2_1 (No. 4)
Inequivalent atoms, fractional coordinates:
Cr (0.003, 0.000, 0.007) x2
P (0.281, 0.589, 0.370) x2
P (0.367, 0.945, 0.399) x2
P (0.476, 0.363, 0.933) x2
P (0.481, 0.138, 0.943) x2
O (0.125, 0.675, 0.410) x2
O (0.127, 0.508, 0.248) x2
O (0.142, 0.993, 0.263) x2
O (0.203, 0.379, 0.976) x2
O (0.211, 0.122, 0.988) x2
O (0.295, 0.581, 0.944) x2
O (0.304, 0.893, 0.558) x2
O (0.304, 0.923, 0.958) x2
O (0.427, 0.536, 0.551) x2
O (0.447, 0.751, 0.028) x2
O (0.466, 0.376, 0.719) x2
O (0.471, 0.119, 0.729) x2



Quick one: least stable of them? 1



--- 1 ---
CrP4O12 after structural relaxation, computed with PBE+U.

Summary:
- Crystal system: monoclinic

a = 11.754 Å, b = 8.263 Å, c = 10.084 Å
α = 90.00°, β = 118.87°, γ = 90.00°
Space group C2/c (No. 15)
Inequivalent atoms, fractional coordinates:
Cr (0.000, 0.054, 0.250) x4
P (0.010, 0.256, 0.981) x8
P (0.200, 0.488, 0.193) x8
O (0.033, 0.118, 0.903) x8
O (0.033, 0.227, 0.402) x8
O (0.087, 0.379, 0.645) x8
O (0.144, 0.359, 0.057) x8
O (0.184, 0.066, 0.309) x8
O (0.230, 0.420, 0.343) x8



--- 2 ---
CrP4O12 after structural relaxation, computed with PBE+U.

Summary:
- Crystal system: monoclinic

a = 16.828 Å, b = 12.293 Å, c = 5.154 Å
α = 90.00°, β = 98.39°, γ = 90.00°
Space group C2/m (No. 12)
Inequivalent atoms, fractional coordinates:
Cr (0.250, 0.250, 0.000) x4
P (0.075, 0.212, 0.185) x8
P (0.180, 0.378, 0.471) x8
O (0.000, 0.267, 0.000) x4
O (0.053, 0.114, 0.330) x8
O (0.098, 0.315, 0.379) x8
O (0.141, 0.196, 0.015) x8
O (0.150, 0.500, 0.401) x4
O (0.202, 0.370, 0.764) x8
O (0.244, 0.346, 0.309) x8



Quick one: least stable of them? 1



--- 1 ---
CrP2O7 after structural relaxation, computed with PBE+U.

Summary:
- Crystal system: monoclinic

a = 6.906 Å, b = 8.559 Å, c = 9.387 Å
α = 90.00°, β = 107.99°, γ = 90.00°
Space group P2_1/c (No. 14)
Inequivalent atoms, fractional coordinates:
Cr (0.204, 0.079, 0.309) x4
P (0.020, 0.714, 0.961) x4
P (0.406, 0.749, 0.243) x4
O (0.020, 0.124, 0.120) x4
O (0.021, 0.583, 0.852) x4
O (0.144, 0.197, 0.459) x4
O (0.236, 0.723, 0.081) x4
O (0.375, 0.636, 0.355) x4
O (0.382, 0.576, 0.783) x4
O (0.392, 0.238, 0.291) x4



--- 2 ---
CrP2O7 after structural relaxation, computed with PBE+U.

Summary:
- Maximum piezoelectric response: 0.35 C/m²
- Crystal system: monoclinic

a = 4.801 Å, b = 8.024 Å, c = 6.973 Å
α = 90.00°, β = 106.28°, γ = 90.00°
Space group P2_1 (No. 4)
Inequivalent atoms, fractional coordinates:
Cr (0.220, 0.000, 0.228) x2
P (0.234, 0.734, 0.604) x2
P (0.387, 0.317, 0.008) x2
O (0.028, 0.179, 0.328) x2
O (0.140, 0.833, 0.413) x2
O (0.145, 0.447, 0.961) x2
O (0.279, 0.140, 0.012) x2
O (0.418, 0.826, 0.134) x2
O (0.419, 0.863, 0.770) x2
O (0.430, 0.582, 0.593) x2



--- 3 ---
CrP2O7 after structural relaxation, computed with PBE+U.

Summary:
- Crystal system: monoclinic

a = 6.846 Å, b = 8.074 Å, c = 9.350 Å
α = 90.00°, β = 108.37°, γ = 90.00°
Space group P2_1/c (No. 14)
Inequivalent atoms, fractional coordinates:
Cr (0.220, 0.228, 0.005) x4
P (0.033, 0.587, 0.295) x4
P (0.432, 0.031, 0.793) x4
O (0.017, 0.227, 0.110) x4
O (0.024, 0.083, 0.862) x4
O (0.106, 0.095, 0.372) x4
O (0.265, 0.614, 0.293) x4
O (0.361, 0.055, 0.156) x4
O (0.388, 0.102, 0.636) x4
O (0.414, 0.166, 0.907) x4



--- 4 ---
CrP2O7 after structural relaxation, computed with PBE+U.

Summary:
- Crystal system: monoclinic

a = 8.669 Å, b = 5.159 Å, c = 13.235 Å
α = 90.00°, β = 115.97°, γ = 90.00°
Space group P2_1/c (No. 14)
Inequivalent atoms, fractional coordinates:
Cr (0.227, 0.243, 0.466) x4
P (0.188, 0.731, 0.614) x4
P (0.339, 0.741, 0.860) x4
O (0.020, 0.722, 0.123) x4
O (0.201, 0.051, 0.082) x4
O (0.226, 0.580, 0.041) x4
O (0.229, 0.545, 0.375) x4
O (0.264, 0.032, 0.355) x4
O (0.338, 0.724, 0.239) x4
O (0.476, 0.237, 0.054) x4



Quick one: least stable of them? 1